# GGA-PBE SrCa3Ag4, optimized geometry
# final energy	-2.697	eV/atom
# formation enthalpy at 0 K	-2.54	eV/f.u.
data_SrCa3Ag4
_chemical_formula_sum 'Sr1 Ca3 Ag4'
_cell_length_a 4.1312
_cell_length_b 4.8229
_cell_length_c 11.4985
_cell_angle_alpha 90.00
_cell_angle_beta 90.00
_cell_angle_gamma 90.00
_space_group_name_H-M_alt 'P m m 2'
_space_group_IT_number 25
loop_
_space_group_symop_operation_xyz
'x,y,z'
'-x,-y,z'
'-x,y,z'
'x,-y,z'
loop_
_atom_site_label
_atom_site_type_symbol
_atom_site_fract_x
_atom_site_fract_y
_atom_site_fract_z
Sr1 Sr 0.0000 0.0000 0.0000
Ca1 Ca 0.0000 0.5000 0.2895
Ca2 Ca 0.5000 0.0000 0.5053
Ca3 Ca 0.5000 0.5000 0.7766
Ag1 Ag 0.0000 0.0000 0.7115
Ag2 Ag 0.0000 0.5000 0.5693
Ag3 Ag 0.5000 0.0000 0.2268
Ag4 Ag 0.5000 0.5000 0.0766

=====

# GGA-PBE La6TlCo13, optimized geometry
# final energy	-6.333	eV/atom
# formation enthalpy at 0 K	-2.27	eV/f.u.
data_La6TlCo13
_chemical_formula_sum 'La24 Tl4 Co52'
_cell_length_a 8.0740
_cell_length_b 8.0740
_cell_length_c 23.3902
_cell_angle_alpha 90.00
_cell_angle_beta 90.00
_cell_angle_gamma 90.00
_space_group_name_H-M_alt 'I 4/m c m'
_space_group_IT_number 140
_space_group_name_Hall '-I 4 2c'
loop_
_atom_site_label
_atom_site_type_symbol
_atom_site_fract_x
_atom_site_fract_y
_atom_site_fract_z
La1 La 0.0000 0.0000 0.0987
La2 La 0.1622 0.3378 0.1773
Tl1 Tl 0.0000 0.0000 0.2500
Co1 Co 0.0000 0.5000 0.0000
Co2 Co 0.0647 0.2138 0.5000
Co3 Co 0.1133 0.3867 0.4124
Co4 Co 0.1765 0.3235 0.0549

=====

# GGA-PBE BaSrCeBiO6, optimized geometry
# MP2020-corrected energy	-7.1268	eV/atom
# final energy	-6.715	eV/atom
# formation enthalpy at 0 K	-28.15	eV/f.u.
# energy above the most stable polymorph in this dataset	89	meV/atom
data_BaSrCeBiO6
_chemical_formula_sum 'Ba4 Sr4 Ce4 Bi4 O24'
_cell_length_a 8.8553
_cell_length_b 8.8553
_cell_length_c 8.8553
_cell_angle_alpha 90.00
_cell_angle_beta 90.00
_cell_angle_gamma 90.00
_space_group_name_H-M_alt 'F -4 3 m'
_space_group_IT_number 216
_space_group_name_Hall 'F -4 2 3'
loop_
_atom_site_label
_atom_site_type_symbol
_atom_site_fract_x
_atom_site_fract_y
_atom_site_fract_z
Ba1 Ba 0.0000 0.0000 0.0000
Sr1 Sr 0.0000 0.0000 0.5000
Ce1 Ce 0.2500 0.2500 0.2500
Bi1 Bi 0.2500 0.2500 0.7500
O1 O 0.0006 0.2500 0.2500

=====

# GGA-PBE NdPd2O4, optimized geometry
# MP2020-corrected energy	-6.9348	eV/atom
# final energy	-6.542	eV/atom
# formation enthalpy at 0 K	-13.62	eV/f.u.
data_NdPd2O4
_chemical_formula_sum 'Nd4 Pd8 O16'
_cell_length_a 5.9411
_cell_length_b 5.9411
_cell_length_c 10.2752
_cell_angle_alpha 90.00
_cell_angle_beta 90.00
_cell_angle_gamma 90.00
_space_group_name_H-M_alt 'I 41/a'
_space_group_IT_number 88
loop_
_space_group_symop_operation_xyz
'x,y,z'
'-x,-y,-z'
'-y+3/4,x+1/4,z+1/4'
'y+3/4,-x+1/4,-z+1/4'
'-x+1/2,-y,z+1/2'
'x+1/2,y,-z+1/2'
'y+3/4,-x+3/4,z+3/4'
'-y+3/4,x+3/4,-z+3/4'
'x+1/2,y+1/2,z+1/2'
'-x+1/2,-y+1/2,-z+1/2'
'-y+1/4,x+3/4,z+3/4'
'y+1/4,-x+3/4,-z+3/4'
'-x,-y+1/2,z'
'x,y+1/2,-z'
'y+1/4,-x+1/4,z+1/4'
'-y+1/4,x+1/4,-z+1/4'
loop_
_atom_site_label
_atom_site_type_symbol
_atom_site_fract_x
_atom_site_fract_y
_atom_site_fract_z
Nd1 Nd 0.0000 0.2500 0.1250
Pd1 Pd 0.0000 0.0000 0.5000
O1 O 0.1521 0.4492 0.3241

=====

# GGA-PBE SiO2, optimized geometry
# MP2020-corrected energy	-8.3645	eV/atom
# final energy	-7.906	eV/atom
# formation enthalpy at 0 K	-9.77	eV/f.u.
data_SiO2
_chemical_formula_sum 'Si8 O16'
_cell_length_a 11.0082
_cell_length_b 8.5904
_cell_length_c 5.1623
_cell_angle_alpha 90.00
_cell_angle_beta 114.45
_cell_angle_gamma 90.00
_space_group_name_H-M_alt 'C 1 2/c 1'
_space_group_IT_number 15
loop_
_space_group_symop_operation_xyz
'x,y,z'
'-x,-y,-z'
'-x,y,-z+1/2'
'x,-y,z+1/2'
'x+1/2,y+1/2,z'
'-x+1/2,-y+1/2,-z'
'-x+1/2,y+1/2,-z+1/2'
'x+1/2,-y+1/2,z+1/2'
loop_
_atom_site_label
_atom_site_type_symbol
_atom_site_fract_x
_atom_site_fract_y
_atom_site_fract_z
Si1 Si 0.1553 0.1019 0.3666
O1 O 0.0000 0.1576 0.2500
O2 O 0.1857 0.0340 0.1053
O3 O 0.2500 0.2500 0.5000

=====

# GGA-PBE PrNiGe3, optimized geometry
# final energy	-5.481	eV/atom
# formation enthalpy at 0 K	-2.98	eV/f.u.
data_PrNiGe3
_chemical_formula_sum 'Pr4 Ni4 Ge12'
_cell_length_a 4.1753
_cell_length_b 21.9770
_cell_length_c 4.2015
_cell_angle_alpha 90.00
_cell_angle_beta 90.00
_cell_angle_gamma 90.00
_space_group_name_H-M_alt 'C m m m'
_space_group_IT_number 65
_space_group_name_Hall '-C 2 2'
loop_
_atom_site_label
_atom_site_type_symbol
_atom_site_fract_x
_atom_site_fract_y
_atom_site_fract_z
Pr1 Pr 0.0000 0.1687 0.0000
Ni1 Ni 0.0000 0.3915 0.5000
Ge1 Ge 0.0000 0.0567 0.5000
Ge2 Ge 0.0000 0.2841 0.5000
Ge3 Ge 0.0000 0.4433 0.0000

=====

# GGA-PBE Li3CuP2O8, optimized geometry
# MP2020-corrected energy	-6.6460	eV/atom
# final energy	-6.253	eV/atom
# formation enthalpy at 0 K	-32.81	eV/f.u.
# energy above the most stable polymorph in this dataset	2	meV/atom
data_Li3CuP2O8
_chemical_formula_sum 'Li12 Cu4 P8 O32'
_cell_length_a 8.2967
_cell_length_b 10.2559
_cell_length_c 8.3038
_cell_angle_alpha 90.00
_cell_angle_beta 106.96
_cell_angle_gamma 90.00
_space_group_name_H-M_alt 'P 1 21 1'
_space_group_IT_number 4
loop_
_space_group_symop_operation_xyz
'x,y,z'
'-x,y+1/2,-z'
loop_
_atom_site_label
_atom_site_type_symbol
_atom_site_fract_x
_atom_site_fract_y
_atom_site_fract_z
Li1 Li 0.0271 0.0000 0.0362
Li2 Li 0.0900 0.7388 0.8461
Li3 Li 0.1604 0.2443 0.8992
Li4 Li 0.3487 0.9134 0.0998
Li5 Li 0.4041 0.2284 0.6604
Li6 Li 0.4172 0.4211 0.1466
Cu1 Cu 0.1614 0.4268 0.4026
Cu2 Cu 0.3343 0.7307 0.5964
P1 P 0.2051 0.9868 0.7303
P2 P 0.2211 0.6668 0.2118
P3 P 0.2777 0.4881 0.7937
P4 P 0.2916 0.1735 0.2691
O1 O 0.0466 0.9782 0.5702
O2 O 0.0574 0.6809 0.0645
O3 O 0.1320 0.4351 0.8517
O4 O 0.1444 0.2457 0.3179
O5 O 0.1578 0.9240 0.8802
O6 O 0.1914 0.7281 0.3729
O7 O 0.2369 0.0336 0.2207
O8 O 0.2427 0.6371 0.7482
O9 O 0.2543 0.5159 0.2453
O10 O 0.2569 0.1293 0.7595
O11 O 0.2957 0.4127 0.6346
O12 O 0.3324 0.2468 0.1256
O13 O 0.3515 0.9079 0.6930
O14 O 0.3724 0.7300 0.1742
O15 O 0.4457 0.4723 0.9298
O16 O 0.4484 0.1804 0.4331

=====

# GGA-PBE K2ZrS3O14, optimized geometry
# MP2020-corrected energy	-6.4736	eV/atom
# final energy	-5.993	eV/atom
# formation enthalpy at 0 K	-37.02	eV/f.u.
data_K2ZrS3O14
_chemical_formula_sum 'K8 Zr4 S12 O56'
_cell_length_a 7.3594
_cell_length_b 13.8992
_cell_length_c 13.2270
_cell_angle_alpha 90.00
_cell_angle_beta 93.90
_cell_angle_gamma 90.00
_space_group_name_H-M_alt 'P 1 21/c 1'
_space_group_IT_number 14
loop_
_space_group_symop_operation_xyz
'x,y,z'
'-x,-y,-z'
'-x,y+1/2,-z+1/2'
'x,-y+1/2,z+1/2'
loop_
_atom_site_label
_atom_site_type_symbol
_atom_site_fract_x
_atom_site_fract_y
_atom_site_fract_z
K1 K 0.1637 0.2396 0.2515
K2 K 0.2761 0.6467 0.0014
Zr1 Zr 0.2983 0.5625 0.3325
S1 S 0.0351 0.5029 0.1753
S2 S 0.3381 0.7453 0.7544
S3 S 0.3452 0.1489 0.9926
O1 O 0.0083 0.5430 0.2816
O2 O 0.0322 0.5949 0.8367
O3 O 0.0399 0.0706 0.4008
O4 O 0.1429 0.5634 0.4697
O5 O 0.2084 0.1549 0.0659
O6 O 0.2116 0.7159 0.3333
O7 O 0.2326 0.7216 0.6609
O8 O 0.2452 0.5042 0.1788
O9 O 0.2779 0.0792 0.9071
O10 O 0.3866 0.2391 0.9429
O11 O 0.4515 0.5200 0.6846
O12 O 0.4515 0.6670 0.7986
O13 O 0.4559 0.6651 0.2412
O14 O 0.4816 0.6048 0.4604

=====

# GGA-PBE ThMnCo4, optimized geometry
# final energy	-7.622	eV/atom
# formation enthalpy at 0 K	-0.72	eV/f.u.
data_ThMnCo4
_chemical_formula_sum 'Th1 Mn1 Co4'
_cell_length_a 5.0280
_cell_length_b 5.0280
_cell_length_c 4.0024
_cell_angle_alpha 90.00
_cell_angle_beta 90.00
_cell_angle_gamma 120.00
_space_group_name_H-M_alt 'P -6 m 2'
_space_group_IT_number 187
_space_group_name_Hall 'P -6 2'
loop_
_atom_site_label
_atom_site_type_symbol
_atom_site_fract_x
_atom_site_fract_y
_atom_site_fract_z
Th1 Th 0.0000 0.0000 0.0000
Mn1 Mn 0.3333 0.6667 0.0000
Co1 Co 0.5028 0.0055 0.5000
Co2 Co 0.6667 0.3333 0.0000

=====

# GGA-PBE Cd5H18C8N20Cl4O2, optimized geometry
# MP2020-corrected energy	-5.9957	eV/atom
# final energy	-5.972	eV/atom
# formation enthalpy at 0 K	-18.22	eV/f.u.
data_Cd5H18C8N20Cl4O2
_chemical_formula_sum 'Cd10 H36 C16 N40 Cl8 O4'
_cell_length_a 9.2782
_cell_length_b 10.4205
_cell_length_c 14.3617
_cell_angle_alpha 90.00
_cell_angle_beta 94.68
_cell_angle_gamma 90.00
_space_group_name_H-M_alt 'P 1 21/c 1'
_space_group_IT_number 14
loop_
_space_group_symop_operation_xyz
'x,y,z'
'-x,-y,-z'
'-x,y+1/2,-z+1/2'
'x,-y+1/2,z+1/2'
loop_
_atom_site_label
_atom_site_type_symbol
_atom_site_fract_x
_atom_site_fract_y
_atom_site_fract_z
Cd1 Cd 0.0000 0.0000 0.0000
Cd2 Cd 0.1874 0.1764 0.5138
Cd3 Cd 0.4733 0.5429 0.8798
H1 H 0.0039 0.5303 0.1267
H2 H 0.1589 0.0497 0.3326
H3 H 0.1960 0.7039 0.6271
H4 H 0.2761 0.7040 0.7360
H5 H 0.3319 0.5325 0.4510
H6 H 0.3506 0.1644 0.7559
H7 H 0.4501 0.6382 0.4078
H8 H 0.4697 0.2030 0.4594
H9 H 0.4930 0.2447 0.2917
C1 C 0.1365 0.6137 0.9063
C2 C 0.2529 0.7120 0.4324
C3 C 0.2820 0.5338 0.6693
C4 C 0.3498 0.1588 0.1980
N1 N 0.0441 0.6944 0.9399
N2 N 0.1054 0.0154 0.3868
N3 N 0.1189 0.6908 0.4568
N4 N 0.2137 0.0387 0.1029
N5 N 0.2613 0.1634 0.1206
N6 N 0.2695 0.6663 0.8989
N7 N 0.2769 0.6659 0.6708
N8 N 0.3644 0.6258 0.4463
N9 N 0.3675 0.0369 0.2325
N10 N 0.4214 0.2329 0.7362
Cl1 Cl 0.1382 0.1522 0.8790
Cl2 Cl 0.2586 0.5215 0.1386
O1 O 0.4185 0.1258 0.4766

=====

# GGA-PBE Th2Si3Os, optimized geometry
# final energy	-7.768	eV/atom
# formation enthalpy at 0 K	-4.28	eV/f.u.
data_Th2Si3Os
_chemical_formula_sum 'Th4 Si6 Os2'
_cell_length_a 4.1029
_cell_length_b 4.2040
_cell_length_c 14.4402
_cell_angle_alpha 90.00
_cell_angle_beta 90.00
_cell_angle_gamma 90.00
_space_group_name_H-M_alt 'I m m 2'
_space_group_IT_number 44
loop_
_space_group_symop_operation_xyz
'x,y,z'
'-x,-y,z'
'-x,y,z'
'x,-y,z'
'x+1/2,y+1/2,z+1/2'
'-x+1/2,-y+1/2,z+1/2'
'-x+1/2,y+1/2,z+1/2'
'x+1/2,-y+1/2,z+1/2'
loop_
_atom_site_label
_atom_site_type_symbol
_atom_site_fract_x
_atom_site_fract_y
_atom_site_fract_z
Th1 Th 0.0000 0.0000 0.0000
Th2 Th 0.0000 0.5000 0.2453
Si1 Si 0.0000 0.0000 0.4157
Si2 Si 0.0000 0.5000 0.6649
Si3 Si 0.0000 0.5000 0.8295
Os1 Os 0.0000 0.0000 0.5802